--- P ---
Here is SbPb2S2I3 after structural relaxation from the Materials Project. Energies are from PBE-GGA.

The structure belongs to space group P2_1/c (No. 14); the cell edges are 7.804, 16.748 and 8.758 Å and the angles 90.00°, 106.66° and 90.00°. The distinct sites, in fractional coordinates, are Sb at (0.196, 0.019, 0.178), Pb at (0.112, 0.734, 0.164), Pb at (0.256, 0.027, 0.692), S at (0.038, 0.085, 0.906), S at (0.039, 0.076, 0.367), I at (0.190, 0.241, 0.669), I at (0.367, 0.617, 0.967) and I at (0.398, 0.620, 0.468).

The crystal system is monoclinic.



--- Q ---
Here is SbPb2S2I3 after structural relaxation from the Materials Project. Energies are from PBE-GGA.

The structure belongs to space group Cmc2_1 (No. 36); the cell edges are 4.524, 14.812 and 16.490 Å and the angles 90.00°, 90.00° and 90.00°. The distinct sites, in fractional coordinates, are Sb at (0.000, 0.155, 0.000), Pb at (0.000, 0.124, 0.545), Pb at (0.000, 0.196, 0.278), S at (0.000, 0.274, 0.102), S at (0.000, 0.277, 0.441), I at (0.000, 0.154, 0.770), I at (0.000, 0.435, 0.892) and I at (0.000, 0.441, 0.627).

The crystal system is orthorhombic.



So which one is most stable? That would be P, about 21 meV per atom below the next structure.



--- P ---
Here is ThPbI6 after structural relaxation from the Materials Project. Energies are from PBE-GGA.

The structure belongs to space group Amm2 (No. 38); the cell edges are 10.107, 4.471 and 14.904 Å and the angles 90.00°, 90.00° and 90.00°. The distinct sites, in fractional coordinates, are Th at (0.000, 0.000, 0.000), Pb at (0.500, 0.000, 0.474), I at (0.000, 0.000, 0.651), I at (0.174, 0.000, 0.391), I at (0.295, 0.000, 0.087) and I at (0.500, 0.000, 0.824).

The crystal system is orthorhombic.



--- Q ---
Here is ThPbI6 after structural relaxation from the Materials Project. Energies are from PBE-GGA.

The structure belongs to space group P-31c (No. 163); the cell edges are 7.8969, 7.8969 and 14.2840 Å and the angles 90.00°, 90.00° and 120.00°. The distinct sites, in fractional coordinates, are Th at (0.3333, 0.6667, 0.2500), Pb at (0.0000, 0.0000, 0.0000) and I at (0.0105, 0.3507, 0.3741).

The crystal system is trigonal.



So which one is most stable? That would be Q, about 25 meV per atom below the next structure.



--- P ---
Here is TePdI2 after structural relaxation from the Materials Project. Energies are from PBE-GGA.

The structure belongs to space group P-1 (No. 2); the cell edges are 4.439, 7.252 and 9.287 Å and the angles 68.32°, 80.76° and 82.76°. The distinct sites, in fractional coordinates, are Te at (0.162, 0.005, 0.150), Pd at (0.264, 0.751, 0.004), I at (0.199, 0.206, 0.572) and I at (0.357, 0.533, 0.812).

The crystal system is triclinic.



--- Q ---
Here is TePdI2 after structural relaxation from the Materials Project. Energies are from PBE-GGA.

The structure belongs to space group P-1 (No. 2); the cell edges are 4.096, 7.119 and 10.199 Å and the angles 107.19°, 93.91° and 91.15°. The distinct sites, in fractional coordinates, are Te at (0.212, 0.358, 0.369), Pd at (0.250, 0.743, 0.484), I at (0.280, 0.672, 0.875) and I at (0.294, 0.127, 0.667).

The crystal system is triclinic.



So which one is most stable? That would be Q, about 8 meV per atom below the next structure.



--- P ---
Here is TeI after structural relaxation from the Materials Project. Energies are from PBE-GGA.

The structure belongs to space group C2/m (No. 12); the cell edges are 16.423, 4.261 and 12.497 Å and the angles 90.00°, 128.25° and 90.00°. The distinct sites, in fractional coordinates, are Te at (0.122, 0.000, 0.324), Te at (0.246, 0.000, 0.663), I at (0.023, 0.500, 0.688) and I at (0.165, 0.500, 0.061).

The crystal system is monoclinic.



--- Q ---
Here is TeI after structural relaxation from the Materials Project. Energies are from PBE-GGA.

The structure belongs to space group P-1 (No. 2); the cell edges are 8.415, 8.824 and 10.181 Å and the angles 76.72°, 89.87° and 75.98°. The distinct sites, in fractional coordinates, are Te at (0.012, 0.005, 0.302), Te at (0.186, 0.251, 0.220), Te at (0.310, 0.759, 0.319), Te at (0.487, 0.004, 0.303), I at (0.181, 0.288, 0.941), I at (0.186, 0.270, 0.587), I at (0.321, 0.707, 0.059) and I at (0.324, 0.727, 0.687).

The crystal system is triclinic.



So which one is most stable? That would be P, about 17 meV per atom below the next structure.



--- P ---
Here is TlI after structural relaxation from the Materials Project. Energies are from PBE-GGA.

The structure belongs to space group Fm-3m (No. 225); the cell edges are 7.138, 7.138 and 7.138 Å and the angles 90.00°, 90.00° and 90.00°. The distinct sites, in fractional coordinates, are Tl at (0.000, 0.000, 0.000) and I at (0.000, 0.000, 0.500).

The crystal system is cubic.



--- Q ---
Here is TlI after structural relaxation from the Materials Project. Energies are from PBE-GGA.

The structure belongs to space group Cmcm (No. 63); the cell edges are 4.740, 13.358 and 5.308 Å and the angles 90.00°, 90.00° and 90.00°. The distinct sites, in fractional coordinates, are Tl at (0.000, 0.114, 0.250) and I at (0.000, 0.367, 0.250).

The crystal system is orthorhombic.



--- R ---
Here is TlI after structural relaxation from the Materials Project. Energies are from PBE-GGA.

The structure belongs to space group Pm-3m (No. 221); the cell edges are 4.288, 4.288 and 4.288 Å and the angles 90.00°, 90.00° and 90.00°. The distinct sites, in fractional coordinates, are Tl at (0.000, 0.000, 0.000) and I at (0.500, 0.500, 0.500).

The crystal system is cubic.



So which one is most stable? That would be P, about 23 meV per atom below the next structure.



--- P ---
Here is KInN after structural relaxation from the Materials Project. Energies are from PBE-GGA.

The structure belongs to space group C2/m (No. 12); the cell edges are 6.206, 6.210 and 4.224 Å and the angles 90.00°, 90.74° and 90.00°. The distinct sites, in fractional coordinates, are K at (0.000, 0.000, 0.000), In at (0.000, 0.500, 0.500) and N at (0.000, 0.500, 0.000).

The crystal system is monoclinic.



--- Q ---
Here is KInN after structural relaxation from the Materials Project. Energies are from PBE-GGA.

The structure belongs to space group Cm (No. 8); the cell edges are 6.254, 3.615 and 6.083 Å and the angles 90.00°, 90.33° and 90.00°. The distinct sites, in fractional coordinates, are K at (0.000, 0.000, 0.000), In at (0.164, 0.500, 0.547) and N at (0.331, 0.000, 0.686).

The crystal system is monoclinic.



So which one is most stable? That would be Q, about 165 meV per atom below the next structure.



--- P ---
Here is Li3In after structural relaxation from the Materials Project. Energies are from PBE-GGA.

The structure belongs to space group Fm-3m (No. 225); the cell edges are 6.651, 6.651 and 6.651 Å and the angles 90.00°, 90.00° and 90.00°. The distinct sites, in fractional coordinates, are Li at (0.000, 0.000, 0.000), Li at (0.250, 0.250, 0.250) and In at (0.000, 0.000, 0.500).

The crystal system is cubic.



--- Q ---
Here is Li3In after structural relaxation from the Materials Project. Energies are from PBE-GGA.

The structure belongs to space group I4/mmm (No. 139); the cell edges are 4.101, 4.101 and 8.943 Å and the angles 90.00°, 90.00° and 90.00°. The distinct sites, in fractional coordinates, are Li at (0.000, 0.000, 0.000), Li at (0.000, 0.500, 0.250) and In at (0.000, 0.000, 0.500).

The crystal system is tetragonal.



So which one is most stable? That would be P, about 9 meV per atom below the next structure.



--- P ---
Here is MgNb2In2O8 after structural relaxation from the Materials Project. Energies are from PBE-GGA.

The structure belongs to space group P2 (No. 3); the cell edges are 5.328, 6.273 and 5.553 Å and the angles 90.00°, 91.70° and 90.00°. The distinct sites, in fractional coordinates, are Mg at (0.000, 0.000, 0.000), Nb at (0.000, 0.543, 0.000), Nb at (0.500, 0.222, 0.000), In at (0.000, 0.063, 0.500), In at (0.500, 0.682, 0.500), O at (0.104, 0.754, 0.228), O at (0.181, 0.234, 0.212), O at (0.306, 0.037, 0.776) and O at (0.312, 0.469, 0.839).

The crystal system is monoclinic.



--- Q ---
Here is MgNb2In2O8 after structural relaxation from the Materials Project. Energies are from PBE-GGA.

The structure belongs to space group P2 (No. 3); the cell edges are 5.286, 6.419 and 5.347 Å and the angles 90.00°, 92.99° and 90.00°. The distinct sites, in fractional coordinates, are Mg at (0.000, 0.000, 0.000), Nb at (0.000, 0.886, 0.500), Nb at (0.500, 0.255, 0.500), In at (0.000, 0.432, 0.000), In at (0.500, 0.718, 0.000), O at (0.157, 0.729, 0.238), O at (0.192, 0.136, 0.333), O at (0.286, 0.942, 0.764) and O at (0.400, 0.443, 0.741).

The crystal system is monoclinic.



So which one is most stable? That would be P, about 22 meV per atom below the next structure.



--- P ---
Here is MgIn2O4 after structural relaxation from the Materials Project. Energies are from PBE-GGA.

The structure belongs to space group Fd-3m (No. 227, origin choice 2); the cell edges are 9.060, 9.060 and 9.060 Å and the angles 90.00°, 90.00° and 90.00°. The distinct sites, in fractional coordinates, are Mg at (0.125, 0.125, 0.125), In at (0.000, 0.000, 0.500) and O at (0.006, 0.006, 0.744).

The crystal system is cubic.



--- Q ---
Here is MgIn2O4 after structural relaxation from the Materials Project. Energies are from PBE-GGA.

The structure belongs to space group Imma (No. 74); the cell edges are 6.328, 6.438 and 8.964 Å and the angles 90.00°, 90.00° and 90.00°. The distinct sites, in fractional coordinates, are Mg at (0.250, 0.250, 0.250), In at (0.000, 0.000, 0.000), In at (0.000, 0.250, 0.631), O at (0.000, 0.024, 0.243) and O at (0.236, 0.250, 0.013).

The crystal system is orthorhombic.



So which one is most stable? That would be Q, about 6 meV per atom below the next structure.



--- P ---
Here is Sr3In2N4 after structural relaxation from the Materials Project. Energies are from PBE-GGA.

The structure belongs to space group C2/c (No. 15); the cell edges are 11.583, 9.222 and 6.176 Å and the angles 90.00°, 90.80° and 90.00°. The distinct sites, in fractional coordinates, are Sr at (0.000, 0.103, 0.250), Sr at (0.114, 0.363, 0.554), In at (0.204, 0.119, 0.899), N at (0.112, 0.328, 0.010) and N at (0.155, 0.087, 0.556).

The crystal system is monoclinic.



--- Q ---
Here is Sr3In2N4 after structural relaxation from the Materials Project. Energies are from PBE-GGA.

The structure belongs to space group Pnna (No. 52); the cell edges are 6.262, 11.130 and 9.760 Å and the angles 90.00°, 90.00° and 90.00°. The distinct sites, in fractional coordinates, are Sr at (0.109, 0.156, 0.089), Sr at (0.250, 0.000, 0.403), In at (0.148, 0.250, 0.750), In at (0.250, 0.000, 0.735), N at (0.016, 0.594, 0.342) and N at (0.102, 0.647, 0.881).

The crystal system is orthorhombic.



So which one is most stable? That would be P, about 30 meV per atom below the next structure.